The following is a DFT calculation (PBE) of NaPaO3 after structural relaxation.

## Properties
Symmetry: No. 221
Calculated volume in Å³ per atom: 16.5
Energy relative to the elements in eV per atom: -3.450
Electronic total energy in eV/cell: -40.872

Lattice parameters (Å, degrees): 4.3535 4.3535 4.3535 90.00 90.00 90.00
Closest atoms and distances in Å follow each position.
Sites, in units of the cell vectors:
Na1 0.0000 0.0000 0.0000  12 O 3.08
Pa1 0.5000 0.5000 0.5000  6 O 2.18
O1 0.0000 0.5000 0.5000  2 Pa 2.18
O2 0.5000 0.0000 0.5000  2 Pa 2.18
O3 0.5000 0.5000 0.0000  2 Pa 2.18

***

The following is a DFT calculation (PBE) of Na2PbO2 after structural relaxation.

## Properties
Symmetry: No. 60
Calculated volume in Å³ per atom: 18.3
Energy relative to the elements in eV per atom: -1.583
Electronic total energy in eV/cell: -182.353

Lattice parameters (Å, degrees): 17.1716 7.0227 6.0567 90.00 90.00 90.00
Closest atoms and distances in Å follow each position.
Sites, in units of the cell vectors:
Na1 0.0000 0.1227 0.2500  4 O 2.45-2.46
Na2 0.0000 0.3576 0.7500  4 O 2.41-2.58
Na3 0.0000 0.6424 0.2500  4 O 2.41-2.58
Na4 0.0000 0.8773 0.7500  4 O 2.45-2.46
Na5 0.1336 0.3750 0.0841  3 O 2.27-2.33
Na6 0.1336 0.6250 0.5841  3 O 2.27-2.33
Na7 0.3664 0.1250 0.5841  3 O 2.27-2.33
Na8 0.3664 0.8750 0.0841  3 O 2.27-2.33
Na9 0.5000 0.1424 0.2500  4 O 2.41-2.58
Na10 0.5000 0.3773 0.7500  4 O 2.45-2.46
Na11 0.5000 0.6227 0.2500  4 O 2.45-2.46
Na12 0.5000 0.8576 0.7500  4 O 2.41-2.58
Na13 0.6336 0.1250 0.9159  3 O 2.27-2.33
Na14 0.6336 0.8750 0.4159  3 O 2.27-2.33
Na15 0.8664 0.3750 0.4159  3 O 2.27-2.33
Na16 0.8664 0.6250 0.9159  3 O 2.27-2.33
Pb1 0.1621 0.1335 0.5667  3 O 2.15-2.28
Pb2 0.1621 0.8665 0.0667  3 O 2.15-2.28
Pb3 0.3379 0.3665 0.0667  3 O 2.15-2.28
Pb4 0.3379 0.6335 0.5667  3 O 2.15-2.28
Pb5 0.6621 0.3665 0.4333  3 O 2.15-2.28
Pb6 0.6621 0.6335 0.9333  3 O 2.15-2.28
Pb7 0.8379 0.1335 0.9333  3 O 2.15-2.28
Pb8 0.8379 0.8665 0.4333  3 O 2.15-2.28
O1 0.0865 0.3510 0.4370  1 Pb 2.15, 3 Na 2.27-2.41
O2 0.0865 0.6490 0.9370  1 Pb 2.15, 3 Na 2.27-2.41
O3 0.0969 0.1040 0.8893  2 Pb 2.26-2.28, 2 Na 2.33-2.45
O4 0.0969 0.8960 0.3893  2 Pb 2.26-2.28, 2 Na 2.33-2.45
O5 0.4031 0.3960 0.3893  2 Pb 2.26-2.28, 2 Na 2.33-2.45
O6 0.4031 0.6040 0.8893  2 Pb 2.26-2.28, 2 Na 2.33-2.45
O7 0.4135 0.1490 0.9370  1 Pb 2.15, 3 Na 2.27-2.41
O8 0.4135 0.8510 0.4370  1 Pb 2.15, 3 Na 2.27-2.41
O9 0.5865 0.1490 0.5630  1 Pb 2.15, 3 Na 2.27-2.41
O10 0.5865 0.8510 0.0630  1 Pb 2.15, 3 Na 2.27-2.41
O11 0.5969 0.3960 0.1107  2 Pb 2.26-2.28, 2 Na 2.33-2.45
O12 0.5969 0.6040 0.6107  2 Pb 2.26-2.28, 2 Na 2.33-2.45
O13 0.9031 0.1040 0.6107  2 Pb 2.26-2.28, 2 Na 2.33-2.45
O14 0.9031 0.8960 0.1107  2 Pb 2.26-2.28, 2 Na 2.33-2.45
O15 0.9135 0.3510 0.0630  1 Pb 2.15, 3 Na 2.27-2.41
O16 0.9135 0.6490 0.5630  1 Pb 2.15, 3 Na 2.27-2.41

***

Copy entry 1 word for word.
The following is a DFT calculation (PBE) of NaPaO3 after structural relaxation.

## Properties
Symmetry: No. 221
Calculated volume in Å³ per atom: 16.5
Energy relative to the elements in eV per atom: -3.450
Electronic total energy in eV/cell: -40.872

Lattice parameters (Å, degrees): 4.3535 4.3535 4.3535 90.00 90.00 90.00
Closest atoms and distances in Å follow each position.
Sites, in units of the cell vectors:
Na1 0.0000 0.0000 0.0000  12 O 3.08
Pa1 0.5000 0.5000 0.5000  6 O 2.18
O1 0.0000 0.5000 0.5000  2 Pa 2.18
O2 0.5000 0.0000 0.5000  2 Pa 2.18
O3 0.5000 0.5000 0.0000  2 Pa 2.18

***

Question: electronic total energy of number 2 (Na2PbO2)?
Answer: -182.353 eV/cell

***

Question: The highest energy relative to the elements belongs to which entry?
Answer: Na2PbO2